Density functional theory data (PBE) for a relaxed structure of Na3DyBr6. Values from VASP.

Summary:
Crystal system: monoclinic
Energy with MP2020 corrections: -38.551 eV per formula unit
Density: 3.77 g/cm3

```
&SYSTEM
  ibrav = 0, nat = 20, ntyp = 3
/
ATOMIC_SPECIES
Br 79.90 Br.upf
Na 22.99 Na.upf
Dy 162.50 Dy.upf
ATOMIC_POSITIONS crystal
Br 0.5635 0.1087 0.2603
Na 0.0000 0.5000 0.5000
Br 0.6955 0.7507 0.0769
Na 0.4404 0.7291 0.2570
Br 0.1955 0.2493 0.4231
Na 0.9404 0.2709 0.2430
Br 0.9365 0.1087 0.7603
Br 0.0635 0.8913 0.2397
Na 0.5596 0.2709 0.7430
Br 0.3045 0.2493 0.9231
Na 0.5000 0.5000 0.0000
Br 0.6807 0.3742 0.4384
Br 0.3193 0.6258 0.5616
Br 0.1807 0.6258 0.0616
Br 0.8193 0.3742 0.9384
Na 0.0596 0.7291 0.7570
Dy 0.0000 0.0000 0.0000
Br 0.4365 0.8913 0.7397
Br 0.8045 0.7507 0.5769
Dy 0.5000 0.0000 0.5000
CELL_PARAMETERS angstrom
7.7368 0.0000 0.0000
0.0000 7.4148 0.0000
0.0000 7.3791 10.9176
```

=====

Density functional theory data (PBE) for a relaxed structure of Dy2Br2O. Values from VASP.

Summary:
Magnetization: 0.0 μB per formula unit
Crystal system: tetragonal
Energy with MP2020 corrections: -24.042 eV per formula unit
Density: 3.76 g/cm3

```
&SYSTEM
  ibrav = 0, nat = 5, ntyp = 3
/
ATOMIC_SPECIES
Br 79.90 Br.upf
O 16.00 O.upf
Dy 162.50 Dy.upf
ATOMIC_POSITIONS crystal
Br 0.5000 0.5000 0.3521
O 0.5000 0.5000 0.0000
Br 0.5000 0.5000 0.6479
Dy 0.5000 0.5000 0.8449
Dy 0.5000 0.5000 0.1551
CELL_PARAMETERS angstrom
4.0852 0.0000 0.0000
0.0000 4.0852 0.0000
0.0000 0.0000 13.2568
```

=====

Density functional theory data (PBE) for a relaxed structure of RbDyBr3. Values from VASP.

Summary:
Magnetization: 0.0 μB per formula unit
Crystal system: orthorhombic
Energy with MP2020 corrections: -19.920 eV per formula unit
Density: 4.54 g/cm3

```
&SYSTEM
  ibrav = 0, nat = 20, ntyp = 3
/
ATOMIC_SPECIES
Br 79.90 Br.upf
Rb 85.47 Rb.upf
Dy 162.50 Dy.upf
ATOMIC_POSITIONS crystal
Br 0.7079 0.7870 0.9659
Br 0.2079 0.7130 0.4659
Rb 0.4701 0.9310 0.2500
Br 0.0798 0.9892 0.7500
Dy 0.0000 0.0000 0.0000
Rb 0.5299 0.0690 0.7500
Rb 0.9701 0.5690 0.7500
Dy 0.0000 0.0000 0.5000
Br 0.2921 0.2130 0.0341
Br 0.7921 0.2870 0.9659
Br 0.7921 0.2870 0.5341
Dy 0.5000 0.5000 0.0000
Br 0.2921 0.2130 0.4659
Dy 0.5000 0.5000 0.5000
Br 0.4202 0.4892 0.7500
Br 0.9202 0.0108 0.2500
Rb 0.0299 0.4310 0.2500
Br 0.7079 0.7870 0.5341
Br 0.2079 0.7130 0.0341
Br 0.5798 0.5108 0.2500
CELL_PARAMETERS angstrom
-0.1619 -6.0291 -4.7870
5.5410 3.6970 -4.8436
8.3261 -4.8482 5.8245
```

=====

Density functional theory data (PBE) for a relaxed structure of DySBr. Values from VASP.

Summary:
Crystal system: orthorhombic
Energy with MP2020 corrections: -17.494 eV per formula unit
Density: 4.57 g/cm3

```
&SYSTEM
  ibrav = 0, nat = 6, ntyp = 3
/
ATOMIC_SPECIES
Br 79.90 Br.upf
Dy 162.50 Dy.upf
S 32.06 S.upf
ATOMIC_POSITIONS crystal
Br 0.5000 0.0000 0.3433
Br 0.0000 0.5000 0.6567
Dy 0.0000 0.0000 0.1275
S 0.0000 0.5000 0.0741
S 0.5000 0.0000 0.9259
Dy 0.5000 0.5000 0.8725
CELL_PARAMETERS angstrom
4.0786 0.0000 0.0000
0.0000 5.3627 0.0000
0.0000 0.0000 9.1125
```

=====

Density functional theory data (PBE) for a relaxed structure of ErBrO. Values from VASP.

Summary:
Crystal system: tetragonal
Energy with MP2020 corrections: -20.683 eV per formula unit
Density: 6.94 g/cm3

```
&SYSTEM
  ibrav = 0, nat = 6, ntyp = 3
/
ATOMIC_SPECIES
O 16.00 O.upf
Er 167.26 Er.upf
Br 79.90 Br.upf
ATOMIC_POSITIONS crystal
O 0.5000 0.5000 0.0000
Er 0.0000 0.5000 0.1301
Br 0.5000 0.0000 0.3256
Er 0.5000 0.0000 0.8699
Br 0.0000 0.5000 0.6744
O 0.0000 0.0000 0.0000
CELL_PARAMETERS angstrom
-3.0940 0.9319 -2.0413
-1.9723 -2.7875 1.7169
-2.4146 5.5125 6.1763
```

=====

Density functional theory data (PBE) for a relaxed structure of Er2Br2O. Values from VASP.

Summary:
Magnetization: 0.0 μB per formula unit
Crystal system: tetragonal
Energy with MP2020 corrections: -24.058 eV per formula unit
Density: 3.93 g/cm3

```
&SYSTEM
  ibrav = 0, nat = 5, ntyp = 3
/
ATOMIC_SPECIES
Br 79.90 Br.upf
Er 167.26 Er.upf
O 16.00 O.upf
ATOMIC_POSITIONS crystal
Br 0.5000 0.5000 0.3547
Er 0.5000 0.5000 0.8440
O 0.5000 0.5000 0.0000
Er 0.5000 0.5000 0.1560
Br 0.5000 0.5000 0.6453
CELL_PARAMETERS angstrom
4.0604 0.0000 0.0000
0.0000 4.0604 0.0000
0.0000 0.0000 13.0882
```

=====

Density functional theory data (PBE) for a relaxed structure of Er4OsBr4. Values from VASP.

Summary:
Crystal system: monoclinic
Energy with MP2020 corrections: -49.772 eV per formula unit
Density: 7.71 g/cm3

```
&SYSTEM
  ibrav = 0, nat = 18, ntyp = 3
/
ATOMIC_SPECIES
Br 79.90 Br.upf
Er 167.26 Er.upf
Os 190.23 Os.upf
ATOMIC_POSITIONS crystal
Br 0.5820 0.8061 0.9013
Br 0.8061 0.5820 0.4013
Er 0.2496 0.9010 0.0101
Os 0.9947 0.0053 0.2500
Br 0.1845 0.5777 0.0970
Er 0.9021 0.7511 0.0092
Er 0.2489 0.0979 0.4908
Er 0.0990 0.7504 0.4899
Er 0.7511 0.9021 0.5092
Br 0.1939 0.4180 0.5987
Br 0.8155 0.4223 0.9030
Er 0.9010 0.2496 0.5101
Br 0.5777 0.1845 0.5970
Os 0.0053 0.9947 0.7500
Er 0.0979 0.2489 0.9908
Br 0.4223 0.8155 0.4030
Br 0.4180 0.1939 0.0987
Er 0.7504 0.0990 0.9899
CELL_PARAMETERS angstrom
2.7494 -6.0431 5.8061
7.4383 4.5417 1.3539
-2.8343 3.3038 4.8696
```

=====

Density functional theory data (PBE) for a relaxed structure of Eu2H3Br. Values from VASP.

Summary:
Crystal system: trigonal
Energy with MP2020 corrections: -38.631 eV per formula unit
Density: 6.22 g/cm3

```
&SYSTEM
  ibrav = 0, nat = 6, ntyp = 3
/
ATOMIC_SPECIES
H 1.01 H.upf
Eu 151.96 Eu.upf
Br 79.90 Br.upf
ATOMIC_POSITIONS crystal
H 0.0000 0.0000 0.5000
H 0.3333 0.6667 0.6440
Eu 0.3333 0.6667 0.3118
Eu 0.6667 0.3333 0.6882
H 0.6667 0.3333 0.3560
Br 0.0000 0.0000 0.0000
CELL_PARAMETERS angstrom
-1.2246 1.2069 -3.6913
-2.6026 -1.9031 2.4873
-2.0147 6.3365 2.7401
```

=====

Density functional theory data (PBE) for a relaxed structure of Eu3BrO4. Values from VASP.

Summary:
Crystal system: orthorhombic
Energy with MP2020 corrections: -75.689 eV per formula unit
Density: 6.52 g/cm3

```
&SYSTEM
  ibrav = 0, nat = 16, ntyp = 3
/
ATOMIC_SPECIES
O 16.00 O.upf
Br 79.90 Br.upf
Eu 151.96 Eu.upf
ATOMIC_POSITIONS crystal
O 0.2337 0.7663 0.4124
O 0.7663 0.2337 0.5876
Br 0.5000 0.5000 0.5000
Eu 0.1788 0.8212 0.5994
Eu 0.8791 0.1209 0.7500
O 0.9328 0.0672 0.2500
Eu 0.1788 0.8212 0.9006
O 0.3042 0.6958 0.7500
Eu 0.8212 0.1788 0.4006
Eu 0.8212 0.1788 0.0994
Br 0.5000 0.5000 0.0000
O 0.7663 0.2337 0.9124
Eu 0.1209 0.8791 0.2500
O 0.6958 0.3042 0.2500
O 0.0672 0.9328 0.7500
O 0.2337 0.7663 0.0876
CELL_PARAMETERS angstrom
2.0895 -6.1363 0.0000
2.0895 6.1363 0.0000
0.0000 0.0000 11.9113
```

=====

Density functional theory data (PBE) for a relaxed structure of EuBr2O. Values from VASP.

Summary:
Magnetization: 5.0 μB per formula unit
Crystal system: orthorhombic
Energy with MP2020 corrections: -24.774 eV per formula unit
Density: 5.32 g/cm3

```
&SYSTEM
  ibrav = 0, nat = 16, ntyp = 3
/
ATOMIC_SPECIES
O 16.00 O.upf
Br 79.90 Br.upf
Eu 151.96 Eu.upf
ATOMIC_POSITIONS crystal
O 0.2500 0.3919 0.8034
Br 0.7500 0.8319 0.3844
Eu 0.7500 0.1069 0.2207
O 0.2500 0.1081 0.3034
Br 0.2500 0.8849 0.0965
Br 0.2500 0.6151 0.5965
Eu 0.2500 0.6069 0.2793
O 0.7500 0.8919 0.6966
Br 0.7500 0.1151 0.9035
O 0.7500 0.6081 0.1966
Eu 0.7500 0.3931 0.7207
Br 0.7500 0.6681 0.8844
Br 0.7500 0.3849 0.4035
Br 0.2500 0.3319 0.1156
Br 0.2500 0.1681 0.6156
Eu 0.2500 0.8931 0.7793
CELL_PARAMETERS angstrom
4.1274 0.0000 0.0000
0.0000 9.2364 0.0000
0.0000 0.0000 10.7299
```

=====

Density functional theory data (PBE) for a relaxed structure of Eu4Br6O. Values from VASP.

Summary:
Crystal system: hexagonal
Energy with MP2020 corrections: -80.963 eV per formula unit
Density: 5.73 g/cm3

```
&SYSTEM
  ibrav = 0, nat = 22, ntyp = 3
/
ATOMIC_SPECIES
Br 79.90 Br.upf
Eu 151.96 Eu.upf
O 16.00 O.upf
ATOMIC_POSITIONS crystal
Br 0.4658 0.5342 0.7057
Eu 0.4019 0.2009 0.5009
Eu 0.7991 0.2009 0.5009
Eu 0.2009 0.4019 0.0009
Br 0.1389 0.2778 0.3851
Br 0.9316 0.4658 0.2057
Eu 0.5981 0.7991 0.0009
Br 0.4658 0.9316 0.7057
Eu 0.3333 0.6667 0.4135
Br 0.8611 0.1389 0.8851
O 0.6667 0.3333 0.6008
Br 0.7222 0.8611 0.3851
Br 0.8611 0.7222 0.8851
Eu 0.2009 0.7991 0.0009
Br 0.2778 0.1389 0.8851
Eu 0.6667 0.3333 0.9135
Eu 0.7991 0.5981 0.5009
Br 0.5342 0.4658 0.2057
Br 0.1389 0.8611 0.3851
Br 0.5342 0.0684 0.2057
Br 0.0684 0.5342 0.7057
O 0.3333 0.6667 0.1008
CELL_PARAMETERS angstrom
6.9862 6.5679 -2.4114
-7.6774 2.7725 5.5794
3.8640 -1.8250 6.2238
```

=====

Density functional theory data (PBE) for a relaxed structure of Eu2PBr. Values from VASP.

Summary:
Crystal system: trigonal
Energy with MP2020 corrections: -34.438 eV per formula unit
Density: 5.87 g/cm3

```
&SYSTEM
  ibrav = 0, nat = 4, ntyp = 3
/
ATOMIC_SPECIES
Eu 151.96 Eu.upf
Br 79.90 Br.upf
P 30.97 P.upf
ATOMIC_POSITIONS crystal
Eu 0.2367 0.2367 0.2898
Br 0.0000 0.0000 0.0000
Eu 0.7633 0.7633 0.7102
P 0.5000 0.5000 0.5000
CELL_PARAMETERS angstrom
0.6307 2.1580 -3.6842
0.6307 -2.1580 -3.6842
-6.7532 0.0000 -3.6842
```

=====

Density functional theory data (PBE) for a relaxed structure of BrF3. Values from VASP.

Summary:
Crystal system: orthorhombic
Energy with MP2020 corrections: -12.341 eV per formula unit
Maximum piezoelectric response: 1.05 C/m²
Density: 3.22 g/cm3

```
&SYSTEM
  ibrav = 0, nat = 8, ntyp = 2
/
ATOMIC_SPECIES
F 19.00 F.upf
Br 79.90 Br.upf
ATOMIC_POSITIONS crystal
F 0.0676 0.9324 0.4092
F 0.7376 0.2624 0.5011
F 0.3701 0.6299 0.6175
Br 0.8398 0.1602 0.2422
F 0.6299 0.3701 0.1175
F 0.2624 0.7376 0.0011
F 0.9324 0.0676 0.9092
Br 0.1602 0.8398 0.7422
CELL_PARAMETERS angstrom
2.9008 -3.9122 0.0000
2.9008 3.9122 0.0000
0.0000 0.0000 6.2288
```

=====

Density functional theory data (PBE) for a relaxed structure of GeBr2F10. Values from VASP.

Summary:
Magnetization: 0.0 μB per formula unit
Crystal system: triclinic
Energy with MP2020 corrections: -50.371 eV per formula unit
Energy above the most stable polymorph in this dataset: 0.018 eV per atom
Density: 3.21 g/cm3

```
&SYSTEM
  ibrav = 0, nat = 26, ntyp = 3
/
ATOMIC_SPECIES
F 19.00 F.upf
Ge 72.64 Ge.upf
Br 79.90 Br.upf
ATOMIC_POSITIONS crystal
F 0.5980 0.7315 0.5487
F 0.5814 0.3789 0.3387
F 0.0828 0.1130 0.1648
F 0.7876 0.0571 0.4062
F 0.4215 0.6037 0.6645
Ge 0.0023 0.9936 0.9982
F 0.3228 0.0594 0.9455
F 0.5351 0.2011 0.7692
F 0.1763 0.5533 0.4383
Br 0.8655 0.3473 0.3232
F 0.0367 0.2853 0.7457
F 0.4603 0.7925 0.2407
F 0.7150 0.5570 0.8985
F 0.9182 0.8962 0.8371
F 0.9650 0.6989 0.2678
F 0.4074 0.2598 0.4511
Ge 0.5029 0.4948 0.5034
F 0.6729 0.9481 0.0593
F 0.0978 0.7714 0.9502
Br 0.6338 0.8441 0.8338
F 0.9030 0.2390 0.0485
Br 0.1324 0.6550 0.6671
F 0.2849 0.4429 0.1015
Br 0.3666 0.1556 0.1734
F 0.8230 0.4435 0.5608
F 0.2166 0.9375 0.6018
CELL_PARAMETERS angstrom
-10.4716 -7.3459 -6.1337
3.0741 -4.0952 -0.3436
-0.5125 -3.6439 5.2390
```

=====

Density functional theory data (PBE) for a relaxed structure of GeBr2F10. Values from VASP.

Summary:
Crystal system: monoclinic
Energy with MP2020 corrections: -50.605 eV per formula unit
Energy above the most stable polymorph in this dataset: 0.000 eV per atom
Density: 3.21 g/cm3

```
&SYSTEM
  ibrav = 0, nat = 26, ntyp = 3
/
ATOMIC_SPECIES
F 19.00 F.upf
Ge 72.64 Ge.upf
Br 79.90 Br.upf
ATOMIC_POSITIONS crystal
F 0.6755 0.9970 0.0537
Ge 0.0000 0.0000 0.0000
F 0.0945 0.2804 0.9520
F 0.2867 0.4644 0.1007
F 0.7133 0.5356 0.8993
F 0.9055 0.7196 0.0480
F 0.5364 0.0311 0.7618
F 0.1755 0.0030 0.4463
F 0.4200 0.7271 0.6601
Br 0.8660 0.3189 0.3277
F 0.9636 0.0311 0.2618
F 0.4055 0.2804 0.4520
F 0.9200 0.2729 0.8399
Br 0.3660 0.6811 0.1723
F 0.0800 0.7271 0.1601
F 0.4636 0.9689 0.2382
F 0.7867 0.5356 0.3993
Ge 0.5000 0.0000 0.5000
F 0.8245 0.9970 0.5537
F 0.2133 0.4644 0.6007
Br 0.6340 0.3189 0.8277
F 0.0364 0.9689 0.7382
F 0.3245 0.0030 0.9463
F 0.5945 0.7196 0.5480
Br 0.1340 0.6811 0.6723
F 0.5800 0.2729 0.3399
CELL_PARAMETERS angstrom
14.1859 0.0000 0.0000
0.0000 5.1321 0.0000
0.0000 2.8823 5.9938
```

=====

Density functional theory data (PBE) for a relaxed structure of Nb12Br17F13. Values from VASP.

Summary:
Crystal system: triclinic
Energy with MP2020 corrections: -251.502 eV per formula unit
Density: 4.45 g/cm3

```
&SYSTEM
  ibrav = 0, nat = 42, ntyp = 3
/
ATOMIC_SPECIES
F 19.00 F.upf
Br 79.90 Br.upf
Nb 92.91 Nb.upf
ATOMIC_POSITIONS crystal
F 0.6826 0.7831 0.7915
F 0.9921 0.1025 0.2079
Br 0.8568 0.0869 0.5004
Nb 0.2165 0.7160 0.6009
Br 0.8586 0.2706 0.9995
F 0.3172 0.6019 0.7075
F 0.9920 0.3910 0.7080
Nb 0.7796 0.9957 0.8995
F 0.0079 0.6090 0.2919
F 0.2194 0.3414 0.9998
F 0.1053 0.7156 0.7081
Br 0.7469 0.7492 0.2503
Nb 0.8995 0.7827 0.8992
Br 0.5863 0.2312 0.5000
F 0.0101 0.9015 0.7934
Nb 0.1125 0.1149 0.9022
Nb 0.0976 0.2116 0.0990
Nb 0.1156 0.4990 0.3983
Nb 0.8831 0.8822 0.1012
Br 0.2699 0.3552 0.4993
Br 0.2526 0.2557 0.7553
Br 0.2524 0.5006 0.2459
Nb 0.1007 0.3844 0.6012
F 0.6830 0.3984 0.2924
Br 0.7478 0.4978 0.7499
F 0.1048 0.8893 0.2088
Br 0.4129 0.1489 0.0017
Br 0.4995 0.0016 0.7501
F 0.8951 0.1118 0.7953
Br 0.1445 0.7286 0.9987
Nb 0.8846 0.5010 0.6012
Br 0.7295 0.5851 0.9997
Br 0.4136 0.7686 0.4996
Br 0.5832 0.8528 0.0003
Nb 0.7837 0.2840 0.3990
Br 0.7302 0.6448 0.5008
Nb 0.2149 0.9970 0.1011
F 0.8947 0.2846 0.2917
Nb 0.8996 0.6159 0.3990
Br 0.1436 0.9133 0.4999
Br 0.5003 0.9979 0.2498
F 0.3162 0.2153 0.2056
CELL_PARAMETERS angstrom
9.8451 0.0000 0.0000
-4.9039 8.5583 0.0000
-4.8652 -2.8589 12.0418
```